[1]
42
Lattice="8.563 0.000 0.000 0.000 13.738 0.000 0.000 0.000 7.389" Properties=species:S:1:pos:R:3 comment="Cs4U2V2O13 PBE+U relaxed" space_group="Pmmn, No. 59" pbc="T T T"
Cs 2.141 0.720 0.157
Cs 2.141 3.435 4.652
Cs 2.141 6.149 0.157
Cs 2.141 10.304 2.013
Cs 6.422 3.435 5.377
Cs 6.422 7.589 7.232
Cs 6.422 10.304 2.738
Cs 6.422 13.018 7.232
U 0.000 0.000 3.695
U 0.000 6.869 3.695
U 4.281 0.000 3.695
U 4.281 6.869 3.695
V 0.379 10.304 5.815
V 3.902 10.304 5.815
V 4.660 3.435 1.574
V 8.184 3.435 1.574
O 0.001 2.011 2.508
O 0.001 4.858 2.508
O 8.562 8.880 4.881
O 8.562 11.727 4.881
O 0.171 7.828 2.082
O 0.171 12.779 2.082
O 0.508 3.435 0.153
O 2.141 0.169 3.845
O 2.141 6.700 3.845
O 2.141 10.304 6.289
O 3.774 3.435 0.153
O 4.111 7.828 2.082
O 4.111 12.779 2.082
O 4.281 2.011 2.508
O 4.281 4.858 2.508
O 4.282 8.880 4.881
O 4.282 11.727 4.881
O 4.452 0.959 5.307
O 4.452 5.910 5.307
O 4.789 10.304 7.236
O 6.422 3.435 1.100
O 6.422 7.038 3.544
O 6.422 13.569 3.544
O 8.055 10.304 7.236
O 8.392 0.959 5.307
O 8.392 5.910 5.307

---

[2]
30
Lattice="6.012 0.000 0.000 1.706 8.549 0.000 0.347 0.157 9.321" Properties=species:S:1:pos:R:3 comment="MoC4O4F6 PBE+U relaxed" space_group="P-1, No. 2" pbc="T T T"
Mo 1.461 0.791 4.205
Mo 6.605 7.915 5.115
C 1.732 7.375 2.253
C 1.596 6.672 0.864
C 3.365 6.561 5.772
C 4.186 5.428 6.469
C 3.880 3.278 2.851
C 4.700 2.145 3.549
C 6.469 2.035 8.456
C 6.334 1.332 7.068
O 2.118 6.470 5.838
O 1.259 1.596 6.260
O 2.755 8.094 2.419
O 4.064 7.475 5.217
O 4.002 1.232 4.104
O 5.311 0.613 6.902
O 6.807 7.111 3.061
O 5.947 2.237 3.482
F 1.876 5.348 1.001
F 2.801 7.339 9.268
F 1.717 1.913 8.940
F 3.017 3.857 3.742
F 3.396 4.472 6.977
F 3.126 2.749 1.851
F 4.940 5.958 7.470
F 4.670 4.234 2.344
F 5.049 4.850 5.578
F 6.349 6.794 0.381
F 5.265 1.368 0.053
F 6.190 3.359 8.319

---

[3]
48
Lattice="5.945 0.000 0.000 2.957 5.213 0.000 0.023 0.314 14.604" Properties=species:S:1:pos:R:3 comment="LiMnO2 PBE+U relaxed" space_group="P1, No. 1" pbc="T T T"
Li 0.000 0.000 0.000
Li 0.037 0.189 7.332
Li 1.549 2.836 7.344
Li 1.352 0.919 2.360
Li 2.962 1.888 4.899
Li 3.024 1.973 12.165
Li 4.570 4.521 12.047
Li 4.545 2.844 7.435
Li 4.329 1.021 2.554
Li 5.909 3.564 2.448
Li 5.992 3.683 9.747
Li 7.536 4.528 12.163
Mn 1.482 2.612 0.015
Mn 2.936 3.560 2.443
Mn 1.526 1.078 9.743
Mn 3.003 3.682 9.745
Mn 4.450 4.485 4.877
Mn 3.005 0.218 7.331
Mn 4.459 2.616 0.017
Mn 2.983 0.009 0.005
Mn 4.501 1.075 9.758
Mn 7.420 4.490 4.880
Mn 5.949 1.879 4.894
Mn 5.994 1.951 12.171
O 1.506 2.719 10.927
O 3.024 5.299 11.023
O 1.484 1.326 13.485
O 2.951 3.770 5.905
O 2.985 3.640 13.588
O 1.552 0.878 6.045
O 2.789 1.747 1.215
O 3.011 2.067 8.470
O 4.514 4.632 8.552
O 4.401 4.259 1.187
O 4.385 2.859 3.693
O 3.005 0.342 10.803
O 5.943 5.214 3.823
O 4.557 2.709 10.956
O 4.531 1.305 13.471
O 4.451 0.883 6.009
O 6.115 3.622 6.061
O 6.145 3.787 13.441
O 7.408 4.678 8.557
O 5.948 1.894 1.078
O 5.979 1.814 8.694
O 7.445 4.216 1.155
O 5.766 0.151 3.681
O 7.430 2.881 3.745

---

[4]
30
Lattice="4.716 0.000 0.000 0.030 5.667 0.000 0.018 2.661 13.044" Properties=species:S:1:pos:R:3 comment="Co2OF3 PBE+U relaxed" space_group="P1, No. 1" de_polymorph_mev_per_atom=39 pbc="T T T"
Co 0.000 0.000 0.000
Co 0.050 6.074 7.790
Co 0.076 3.861 2.607
Co 0.258 2.170 5.398
Co 2.271 7.184 10.613
Co 2.431 5.400 13.041
Co 2.501 4.995 5.092
Co 2.519 3.309 7.825
Co 2.657 0.889 2.531
Co 4.666 4.304 10.290
O 1.041 2.117 6.996
O 1.480 7.126 12.210
O 3.378 5.120 3.295
O 3.426 1.083 0.730
O 3.806 4.401 8.505
F 0.983 4.241 12.162
F 1.000 5.971 9.617
F 1.015 3.764 4.453
F 1.066 5.506 1.742
F 1.490 3.130 9.648
F 1.481 0.985 4.321
F 1.534 4.905 6.946
F 1.563 2.592 1.883
F 3.306 7.249 8.705
F 3.347 5.561 11.179
F 3.384 3.319 5.950
F 3.828 2.664 11.179
F 3.892 6.222 5.935
F 3.905 3.934 0.735
F 3.908 2.219 3.492

---

[5]
26
Lattice="7.263 0.000 0.000 -1.696 7.482 0.000 -1.853 -4.018 6.351" Properties=species:S:1:pos:R:3 comment="Li2CrSi7O16 PBE+U relaxed" space_group="P1, No. 1" de_polymorph_mev_per_atom=0 pbc="T T T"
Li 0.000 0.000 0.000
Li 0.176 2.305 4.358
Cr 3.481 -0.168 0.562
Si 1.255 0.205 2.726
Si 1.568 4.003 0.281
Si 1.727 -1.796 4.926
Si 3.481 1.722 4.021
Si 3.654 4.345 2.551
Si 5.575 -0.144 2.476
Si 5.707 3.974 0.147
O -0.019 3.552 0.448
O -0.327 0.541 3.072
O 1.542 0.216 1.149
O 0.425 -1.166 5.711
O -0.166 1.456 6.022
O 1.728 -1.204 3.386
O 0.022 4.097 4.927
O 1.918 1.454 3.625
O 2.284 3.929 1.781
O 3.094 -1.196 5.658
O 4.336 0.823 2.976
O 5.545 -0.164 0.872
O 3.809 3.323 3.861
O 5.329 -1.622 3.159
O 3.795 1.373 5.594
O 4.958 4.215 1.576

---

[6]
62
Lattice="6.479 0.000 0.000 0.000 13.134 0.000 -2.760 0.000 9.088" Properties=species:S:1:pos:R:3 comment="Cs2MnH12S2O14 PBE+U relaxed" space_group="P2_1/c, No. 14" pbc="T T T"
Cs -0.073 1.873 3.365
Cs -1.452 4.694 7.909
Cs 5.172 8.441 1.179
Cs 3.792 11.261 5.723
Mn 3.239 0.000 0.000
Mn 1.860 6.567 4.544
H -0.627 7.394 5.353
H 0.753 12.307 0.809
H -0.145 8.468 4.307
H -1.524 11.233 8.851
H -0.956 1.357 7.126
H 0.424 5.211 2.582
H 0.607 1.744 6.897
H 1.987 4.823 2.353
H 2.135 7.876 2.043
H 0.756 11.826 6.587
H 2.174 8.998 3.165
H 0.794 10.703 7.709
H 2.925 2.431 1.379
H 1.545 4.136 5.923
H 2.964 1.309 2.500
H 1.584 5.259 7.044
H 1.733 8.312 6.735
H 3.112 11.390 2.191
H 3.295 7.924 6.506
H 4.675 11.778 1.962
H 5.244 1.901 0.237
H 3.864 4.666 4.781
H 2.967 0.827 8.279
H 4.347 5.740 3.735
S -0.928 8.487 8.153
S 0.452 11.214 3.609
S 3.267 1.920 5.479
S 4.647 4.647 0.935
O -1.446 7.672 7.005
O -0.066 12.030 2.461
O -1.831 9.662 8.342
O -0.451 10.039 3.798
O -0.122 7.489 4.510
O -1.502 12.213 9.054
O 1.846 7.647 0.293
O 0.467 12.055 4.837
O -0.080 1.512 7.573
O 1.299 5.055 3.029
O 0.464 8.974 7.840
O 1.844 10.727 3.296
O 2.683 1.482 1.564
O 1.303 5.085 6.108
O 2.416 8.049 2.980
O 1.037 11.652 7.524
O 1.875 2.407 5.792
O 3.255 4.160 1.248
O 2.420 8.079 6.059
O 3.800 11.622 1.515
O 3.253 1.080 4.251
O 1.873 5.487 8.795
O 5.221 0.922 0.034
O 3.841 5.646 4.578
O 4.170 3.095 5.290
O 5.550 3.472 0.746
O 3.786 1.104 6.627
O 5.166 5.463 2.083

---

[7]
60
Lattice="7.607 0.000 0.000 0.000 7.607 0.000 0.000 0.000 16.326" Properties=species:S:1:pos:R:3 comment="Si4WO10 PBE+U relaxed" space_group="P4/ncc, No. 130" pbc="T T T"
Si 0.124 0.567 2.532
Si 0.124 3.236 10.695
Si 0.567 0.124 10.695
Si 0.567 3.679 2.532
Si 3.236 0.124 2.532
Si 3.236 3.679 10.695
Si 3.679 0.567 10.695
Si 3.679 3.236 2.532
Si 3.928 4.371 13.794
Si 3.928 7.040 5.631
Si 4.371 3.928 5.631
Si 4.371 7.483 13.794
Si 7.040 3.928 13.794
Si 7.040 7.483 5.631
Si 7.483 4.371 5.631
Si 7.483 7.040 13.794
W 1.902 1.902 6.759
W 1.902 1.902 14.922
W 5.705 5.705 1.404
W 5.705 5.705 9.567
O 0.038 1.639 10.403
O 0.038 2.164 2.240
O 0.223 0.910 6.598
O 0.223 2.893 14.761
O 0.277 4.081 4.081
O 0.277 7.330 12.244
O 0.910 0.223 14.761
O 0.910 3.581 6.598
O 1.639 0.038 2.240
O 1.639 3.766 10.403
O 2.164 0.038 10.403
O 2.164 3.766 2.240
O 2.893 0.223 6.598
O 2.893 3.581 14.761
O 3.526 4.081 12.244
O 3.526 7.330 4.081
O 3.581 0.910 14.761
O 3.581 2.893 6.598
O 3.766 1.639 2.240
O 3.766 2.164 10.403
O 3.841 5.443 5.923
O 3.841 5.968 14.085
O 4.026 4.714 9.727
O 4.026 6.697 1.565
O 4.081 0.277 12.244
O 4.081 3.526 4.081
O 4.714 4.026 1.565
O 4.714 7.384 9.727
O 5.443 3.841 14.085
O 5.443 7.569 5.923
O 5.968 3.841 5.923
O 5.968 7.569 14.085
O 6.697 4.026 9.727
O 6.697 7.384 1.565
O 7.330 0.277 4.081
O 7.330 3.526 12.244
O 7.384 4.714 1.565
O 7.384 6.697 9.727
O 7.569 5.443 14.085
O 7.569 5.968 5.923

---

[8]
20
Lattice="3.893 0.000 3.893 0.000 3.893 3.893 -3.893 -3.893 7.787" Properties=species:S:1:pos:R:3 comment="Sr2TiMnO6 PBE+U relaxed" de_polymorph_mev_per_atom=0 pbc="T T T"
O -1.966 0.000 7.787
Mn 0.000 0.000 3.893
Ti 0.000 0.000 7.787
Sr 1.947 1.947 9.733
O 0.000 -1.966 7.787
Mn 0.000 0.000 11.680
O -1.927 0.000 11.680
Sr -1.947 -1.947 9.733
O 0.000 1.966 7.787
Ti 0.000 0.000 0.000
O 1.927 0.000 3.893
O 0.000 -1.927 11.680
O 0.000 0.000 5.820
Sr 1.947 1.947 5.840
O 0.000 0.000 1.966
O 0.000 0.000 13.607
O 1.966 0.000 7.787
O 0.000 0.000 9.753
Sr -1.947 -1.947 5.840
O 0.000 1.927 3.893

---

Calculated values (kcal/mol of atoms) of E_form for the records, taken in order: -67.05 -38.68 -48.81 -44.78 -69.45 -38.21 -65.03 -69.84.